DFT (PBE) results for a relaxed NiH36C60N12 crystal.

Structure (extended XYZ):
```
109
Lattice="10.017 0.000 0.000 1.861 10.218 0.000 1.796 1.965 10.351" Properties=species:S:1:pos:R:3 pbc="T T T"
Ni 5.009 0.000 0.000
H 7.159 1.545 0.250
H 6.515 10.637 10.101
H 9.976 0.672 0.793
H 3.698 11.510 9.558
H 4.161 10.217 0.073
H 9.512 1.965 10.277
H 7.188 0.433 1.446
H 6.486 11.750 8.905
H 7.756 7.786 0.849
H 5.918 4.396 9.502
H 0.931 1.159 2.008
H 12.743 11.024 8.343
H 8.010 3.731 1.140
H 5.664 8.452 9.211
H 5.201 2.673 0.385
H 8.473 9.509 9.966
H 7.233 3.050 7.882
H 6.440 9.132 2.469
H 0.755 2.093 0.672
H 12.918 10.089 9.679
H 7.059 4.490 0.070
H 6.614 7.692 10.280
H 6.552 1.553 7.686
H 7.122 10.629 2.665
H 6.787 2.566 3.211
H 6.886 9.617 7.140
H 7.745 1.383 3.816
H 5.929 10.800 6.535
H 3.641 2.231 0.697
H 10.033 9.951 9.654
H 6.352 1.775 4.554
H 7.322 10.408 5.797
H 8.167 1.723 8.013
H 5.507 10.460 2.338
H 6.699 4.535 1.670
H 6.975 7.647 8.681
C 2.548 3.289 3.091
C 11.125 8.893 7.259
C 9.785 3.937 3.253
C 3.889 8.246 7.098
C 1.722 2.687 4.124
C 11.952 9.495 6.227
C 3.249 6.258 8.437
C 10.425 5.925 1.914
C 4.496 3.899 6.033
C 9.177 8.283 4.318
C 1.907 2.820 6.588
C 11.767 9.362 3.763
C 3.338 8.059 2.622
C 10.335 4.124 7.729
C 4.212 5.480 7.754
C 9.461 6.703 2.596
C 3.842 3.573 3.669
C 9.831 8.610 6.682
C 3.088 7.662 8.102
C 10.586 4.520 2.249
C 3.874 4.131 7.325
C 9.799 8.052 3.026
C 1.716 6.468 1.633
C 11.957 5.714 8.717
C 3.302 9.176 6.150
C 10.372 3.007 4.201
C 4.538 4.745 3.307
C 9.135 7.438 7.043
C 3.820 3.144 5.055
C 9.853 9.038 5.296
C 5.204 5.107 5.660
C 8.469 7.076 4.691
C 2.688 5.399 1.800
C 10.985 6.783 8.551
C 3.949 5.672 2.355
C 9.724 6.510 7.996
C 4.288 7.024 2.773
C 9.386 5.158 7.578
C 5.072 6.931 3.983
C 8.601 5.252 6.368
C 5.029 6.080 6.722
C 8.645 6.102 3.629
C 2.044 7.777 2.050
C 11.629 4.405 8.301
C 4.873 7.447 6.397
C 8.801 4.735 3.954
C 5.225 5.523 4.315
C 8.449 6.659 6.036
C 3.158 9.035 3.684
C 10.516 3.148 6.667
C 2.512 2.591 5.335
C 11.162 9.591 5.016
C 2.598 3.606 7.592
C 11.076 8.577 2.759
C 1.976 4.192 2.168
C 11.698 7.990 8.182
C 4.894 7.875 5.015
C 8.779 4.307 5.336
C 3.924 8.941 4.860
C 9.749 3.241 5.491
N 7.007 0.551 0.445
N 6.666 11.631 9.906
N 0.854 1.125 0.988
N 12.819 11.058 9.363
N 4.428 2.072 0.061
N 9.246 10.110 10.290
N 7.240 2.092 8.241
N 6.434 10.091 2.110
N 6.768 1.632 3.630
N 6.905 10.550 6.720
N 7.026 3.919 0.919
N 6.647 8.264 9.431
```

Computed properties:
**Formation energy from the elements**: 25 meV/atom
**Uncorrected energy**: -774.67 eV per cell